# 1
# Li2FeOF3 GGA+U optimized geometry
# Size of the total moment   0.00 μB/f.u.
# Energy of formation from the pure elements   -2.6787 eV/atom
data_Li2FeOF3
_symmetry_space_group_name_H-M 'P 41'
_symmetry_Int_Tables_number 76
_symmetry_space_group_name_Hall 'P 4w'
_cell_length_a 5.964
_cell_length_b 5.964
_cell_length_c 8.586
_cell_angle_alpha 90.00
_cell_angle_beta 90.00
_cell_angle_gamma 90.00
loop_
_atom_site_label
_atom_site_fract_x
_atom_site_fract_y
_atom_site_fract_z
_atom_site_occupancy
Li1 0.001 0.759 0.000 1
Li2 0.246 0.734 0.628 1
Fe1 0.250 0.518 0.274 1
O1 0.260 0.473 0.490 1
F1 0.008 0.747 0.250 1
F2 0.026 0.262 0.252 1
F3 0.251 0.514 0.016 1

---

# 2
# LiFe2O3F GGA+U optimized geometry
# Size of the total moment   10.00 μB/f.u.
# Energy of formation from the pure elements   -2.0199 eV/atom
data_LiFe2O3F
_symmetry_space_group_name_H-M 'C 1 c 1'
_symmetry_Int_Tables_number 9
_symmetry_space_group_name_Hall 'C -2yc'
_cell_length_a 13.528
_cell_length_b 8.499
_cell_length_c 5.991
_cell_angle_alpha 90.00
_cell_angle_beta 115.80
_cell_angle_gamma 90.00
loop_
_atom_site_label
_atom_site_fract_x
_atom_site_fract_y
_atom_site_fract_z
_atom_site_occupancy
Li1 0.000 0.120 0.000 1
Li2 0.265 0.130 0.292 1
Fe1 0.004 0.486 0.763 1
Fe2 0.138 0.228 0.670 1
Fe3 0.259 0.498 0.536 1
Fe4 0.375 0.253 0.903 1
O1 0.006 0.255 0.740 1
O2 0.127 0.482 0.640 1
O3 0.253 0.262 0.008 1
O4 0.255 0.262 0.554 1
O5 0.366 0.490 0.889 1
O6 0.399 0.016 0.906 1
F1 0.010 0.251 0.282 1
F2 0.133 0.001 0.645 1

---

| no. | calculated total energy (hartree per atom) |
| --- | --- |
| 1 | -0.1964 |
| 2 | -0.2242 |